# MgV4Pb2O12

Crystalline MgV4Pb2O12 at its relaxed geometry (PBE+U, Materials Project).

Calculated values
Its offset from the most stable computed form is 105 meV/atom. Its crystal system is monoclinic.

Cell and atoms, written as extended XYZ:
```
19
Lattice="8.651 -1.783 0.000 8.651 1.783 0.000 -2.617 0.000 9.545" Properties=species:S:1:pos:R:3 pbc="T T T"
Mg 0.000 0.000 0.000
V 1.142 0.000 6.176
V 6.575 0.000 1.467
V 8.110 0.000 8.077
V 13.544 0.000 3.369
Pb 1.826 0.000 2.449
Pb 12.859 0.000 7.096
O -0.479 0.000 7.314
O 0.667 0.000 4.578
O 2.916 0.000 6.188
O 4.942 0.000 2.734
O 3.523 0.000 9.378
O 6.206 0.000 8.227
O 8.480 0.000 1.317
O 11.163 0.000 0.166
O 9.743 0.000 6.811
O 11.769 0.000 3.357
O 14.019 0.000 4.967
O 15.165 0.000 2.231
```

# MgV4Pb2O12

Crystalline MgV4Pb2O12 at its relaxed geometry (PBE+U, Materials Project).

Calculated values
Its offset from the most stable computed form is 6 meV/atom. Its crystal system is monoclinic.

Cell and atoms, written as extended XYZ:
```
19
Lattice="8.223 -1.891 0.000 8.223 1.891 0.000 -3.171 0.000 9.842" Properties=species:S:1:pos:R:3 pbc="T T T"
Mg 0.000 0.000 0.000
V -0.222 0.000 3.570
V 4.151 0.000 6.109
V 9.686 0.000 1.756
V 10.735 0.000 7.922
Pb -0.650 0.000 7.433
Pb 4.772 0.000 2.349
O 0.913 0.000 1.889
O 0.073 0.000 5.213
O 2.648 0.000 7.383
O 3.862 0.000 4.420
O 5.798 0.000 6.445
O 8.939 0.000 0.044
O 8.421 0.000 3.248
O 8.880 0.000 7.790
O 11.415 0.000 1.916
O 12.116 0.000 6.532
O 11.363 0.000 9.541
O 14.563 0.000 3.241
```

# MgPb2W2O8

Crystalline MgPb2W2O8 at its relaxed geometry (PBE+U, Materials Project).

Calculated values
Its offset from the most stable computed form is 0 meV/atom. Its crystal system is triclinic.

Cell and atoms, written as extended XYZ:
```
13
Lattice="5.393 0.000 0.000 -0.590 5.470 0.000 -2.220 -2.588 7.454" Properties=species:S:1:pos:R:3 pbc="T T T"
Mg 0.000 0.000 0.000
Pb 0.096 0.135 5.202
Pb 2.654 0.021 2.112
W -0.258 2.772 2.474
W 2.472 2.837 4.493
O -1.373 1.626 3.953
O -1.392 -1.668 5.904
O 0.250 4.126 1.167
O 1.332 1.690 3.162
O 0.936 4.044 3.873
O 1.581 1.989 5.992
O 3.586 3.912 3.053
O 4.766 1.442 1.201
```

# MgPb2W2O8

Crystalline MgPb2W2O8 at its relaxed geometry (PBE+U, Materials Project).

Calculated values
Its offset from the most stable computed form is 0 meV/atom. Its crystal system is triclinic.

Cell and atoms, written as extended XYZ:
```
13
Lattice="5.389 0.000 0.000 -0.619 5.473 0.000 -2.342 -2.701 7.464" Properties=species:S:1:pos:R:3 pbc="T T T"
Mg 0.000 0.000 0.000
Pb -0.246 2.779 5.319
Pb 2.406 2.747 2.278
W 0.020 0.016 2.963
W 2.729 0.029 4.992
O -2.249 1.359 6.278
O -1.120 -1.100 4.346
O 0.937 0.902 1.498
O 1.545 -1.205 3.563
O 1.154 1.130 4.338
O 2.270 -1.334 6.276
O 3.864 4.570 1.514
O 3.875 1.229 3.540
```

# MgPb2W2O8

Crystalline MgPb2W2O8 at its relaxed geometry (PBE+U, Materials Project).

Calculated values
Its offset from the most stable computed form is 8 meV/atom. Its crystal system is triclinic.

Cell and atoms, written as extended XYZ:
```
13
Lattice="5.252 0.000 0.000 -1.354 7.036 0.000 -1.423 -3.659 6.037" Properties=species:S:1:pos:R:3 pbc="T T T"
Mg 0.000 0.000 0.000
Pb 0.623 3.150 0.389
Pb 0.234 1.387 3.478
W -1.567 4.807 2.752
W 2.441 -0.701 1.613
O -2.170 4.089 4.327
O -0.682 3.047 2.222
O -0.581 5.396 0.816
O 1.166 0.988 1.436
O 1.422 -1.172 3.280
O 1.962 6.917 0.082
O 2.045 4.515 1.585
O 4.084 -0.369 2.815
```

# PrMgV2O6

Crystalline PrMgV2O6 at its relaxed geometry (PBE+U, Materials Project).

Calculated values
Its crystal system is monoclinic.

Cell and atoms, written as extended XYZ:
```
20
Lattice="5.345 0.000 0.000 0.000 5.493 0.000 -5.313 0.000 7.710" Properties=species:S:1:pos:R:3 pbc="T T T"
Pr 0.000 1.108 0.000
Pr -2.657 4.385 3.855
Mg -0.141 1.655 3.869
Mg 2.516 3.838 0.014
V -2.714 1.420 5.772
V -0.058 4.073 1.917
V 2.623 1.388 1.928
V -0.033 4.105 5.782
O -4.200 2.586 6.220
O -1.543 2.906 2.365
O -0.966 0.233 2.368
O -3.622 5.260 6.223
O 1.058 2.644 1.500
O -1.598 2.849 5.355
O -1.029 0.305 5.311
O 1.628 5.188 1.456
O -2.235 1.668 7.705
O 0.422 3.825 3.850
O 1.939 1.233 3.864
O 4.596 4.260 0.009
```

# Pr2MgV2O8

Crystalline Pr2MgV2O8 at its relaxed geometry (PBE+U, Materials Project).

Calculated values
Its crystal system is monoclinic.

Cell and atoms, written as extended XYZ:
```
13
Lattice="3.320 -5.360 0.000 3.320 5.360 0.000 -3.271 0.000 5.474" Properties=species:S:1:pos:R:3 pbc="T T T"
Pr 0.000 0.000 0.000
Pr 1.685 -2.944 2.737
Mg 3.320 2.201 0.000
V 1.685 2.408 2.737
V 3.320 -0.533 0.000
O 0.441 1.539 1.762
O 0.541 3.277 3.902
O -1.047 0.780 4.623
O 2.828 3.277 1.572
O 2.049 -1.316 0.954
O 2.929 1.539 3.712
O 4.417 0.780 0.851
O 1.321 -1.316 4.520
```

# Rb3TbMgV2O8

Crystalline Rb3TbMgV2O8 at its relaxed geometry (PBE+U, Materials Project).

Calculated values
Its crystal system is triclinic.

Cell and atoms, written as extended XYZ:
```
15
Lattice="5.676 0.000 0.000 2.242 5.529 0.000 0.046 0.986 8.921" Properties=species:S:1:pos:R:3 pbc="T T T"
Rb 0.000 0.000 0.000
Rb 2.603 3.078 5.212
Rb 5.293 4.496 7.252
Tb 4.932 4.856 3.021
Mg 4.572 1.930 2.331
V 2.211 2.459 0.825
V 5.632 1.124 4.829
O 2.548 3.740 8.056
O 3.856 5.884 4.662
O 3.373 3.521 1.939
O 3.050 0.841 1.364
O 5.357 2.866 4.074
O 4.873 1.192 6.382
O 6.899 5.805 3.500
O 6.136 2.528 1.222
```

# Rb4MgV4O10

Crystalline Rb4MgV4O10 at its relaxed geometry (PBE+U, Materials Project).

Calculated values
Its crystal system is triclinic.

Cell and atoms, written as extended XYZ:
```
19
Lattice="5.804 0.000 0.000 -0.082 6.100 0.000 -2.885 -2.832 8.787" Properties=species:S:1:pos:R:3 pbc="T T T"
Rb 0.000 0.000 0.000
Rb -0.040 0.582 3.995
Rb 2.780 2.728 0.947
Rb 2.830 3.313 4.889
Mg 0.002 0.237 6.860
V -0.095 3.653 2.910
V -0.053 3.291 6.794
V 2.896 -0.321 1.990
V 2.900 0.236 6.839
O -1.509 -1.066 6.868
O 0.098 2.275 1.902
O -1.369 1.656 6.811
O -0.062 3.375 4.751
O 1.284 4.792 2.396
O 2.910 -0.048 0.191
O 1.366 -1.184 6.909
O 1.506 1.538 6.784
O 3.000 1.004 3.080
O 4.180 4.594 2.525
```

# Rb2Mg2W3O12

Crystalline Rb2Mg2W3O12 at its relaxed geometry (PBE+U, Materials Project).

Calculated values
Its crystal system is cubic.

Cell and atoms, written as extended XYZ:
```
76
Lattice="11.060 0.000 0.000 0.000 11.060 0.000 0.000 0.000 11.060" Properties=species:S:1:pos:R:3 pbc="T T T"
Rb 0.782 4.748 6.312
Rb 2.259 8.801 3.271
Rb 3.271 2.259 8.801
Rb 4.748 6.312 0.782
Rb 6.312 0.782 4.748
Rb 7.789 7.789 7.789
Rb 8.801 3.271 2.259
Rb 10.278 10.278 10.278
Mg 0.966 6.496 10.094
Mg 1.507 1.507 1.507
Mg 4.023 9.553 7.037
Mg 4.564 4.564 4.564
Mg 6.496 10.094 0.966
Mg 7.037 4.023 9.553
Mg 9.553 7.037 4.023
Mg 10.094 0.966 6.496
W 0.560 8.584 6.935
W 1.405 4.970 2.476
W 2.476 1.405 4.970
W 3.054 9.654 10.500
W 4.125 6.090 8.005
W 4.970 2.476 1.405
W 6.090 8.005 4.125
W 6.935 0.560 8.584
W 8.005 4.125 6.090
W 8.584 6.935 0.560
W 9.654 10.500 3.054
W 10.500 3.054 9.654
O 0.027 4.752 9.439
O 0.173 5.963 3.363
O 0.318 7.718 8.511
O 0.433 2.167 10.887
O 0.778 1.621 5.557
O 0.861 3.237 2.537
O 1.621 5.557 0.778
O 2.167 10.887 0.433
O 2.188 8.079 10.742
O 2.293 8.523 6.391
O 2.537 0.861 3.237
O 2.549 5.848 8.872
O 2.981 5.212 3.342
O 2.993 10.199 8.767
O 3.237 2.537 0.861
O 3.342 2.981 5.212
O 3.363 0.173 5.963
O 3.909 5.503 6.308
O 4.669 7.823 8.067
O 4.752 9.439 0.027
O 5.097 8.893 5.357
O 5.212 3.342 2.981
O 5.357 5.097 8.893
O 5.503 6.308 3.909
O 5.557 0.778 1.621
O 5.703 10.626 7.697
O 5.848 8.872 2.549
O 5.963 3.363 0.173
O 6.308 3.909 5.503
O 6.391 2.293 8.523
O 7.151 11.033 10.282
O 7.697 5.703 10.626
O 7.718 8.511 0.318
O 7.823 8.067 4.669
O 8.067 4.669 7.823
O 8.079 10.742 2.188
O 8.511 0.318 7.718
O 8.523 6.391 2.293
O 8.767 2.993 10.199
O 8.872 2.549 5.848
O 8.893 5.357 5.097
O 9.439 0.027 4.752
O 10.199 8.767 2.993
O 10.282 7.151 11.033
O 10.626 7.697 5.703
O 10.742 2.188 8.079
O 10.887 0.433 2.167
O 11.033 10.282 7.151
```

# Rb4MgW2O8

Crystalline Rb4MgW2O8 at its relaxed geometry (PBE+U, Materials Project).

Calculated values
Its crystal system is monoclinic.

Cell and atoms, written as extended XYZ:
```
15
Lattice="6.462 -3.198 0.000 6.462 3.198 0.000 -3.768 0.000 9.028" Properties=species:S:1:pos:R:3 pbc="T T T"
Rb 0.000 0.000 0.000
Rb -2.205 0.000 5.667
Rb 4.396 0.000 0.250
Rb 6.311 0.000 5.527
Mg 2.076 0.000 3.097
W 2.013 0.000 5.940
W 8.729 0.000 0.067
O 1.906 1.588 6.845
O 0.687 0.000 4.490
O 3.410 0.000 4.548
O 5.045 1.473 8.016
O 7.166 0.000 1.006
O 1.906 -1.588 6.845
O 10.194 0.000 1.149
O 5.045 -1.473 8.016
```

# MgV2Rh2O8

Crystalline MgV2Rh2O8 at its relaxed geometry (PBE+U, Materials Project).

Calculated values
Its offset from the most stable computed form is 20 meV/atom. Its crystal system is triclinic.

Cell and atoms, written as extended XYZ:
```
13
Lattice="5.581 0.000 0.000 -2.367 5.101 0.000 -1.559 -2.533 4.861" Properties=species:S:1:pos:R:3 pbc="T T T"
Mg 0.000 0.000 0.000
V 0.745 1.344 2.415
V 1.752 -1.098 4.726
Rh -1.817 1.186 4.847
Rh 2.397 3.820 2.404
O -0.882 0.640 1.605
O 0.831 -0.488 3.313
O 1.851 0.552 0.824
O 0.776 3.006 1.532
O -0.167 2.089 4.002
O 2.488 1.911 3.219
O 3.487 3.126 0.773
O 3.624 -0.683 4.030
```

Number 1: uncorrected energy -6.892 eV per atom, calculated formation energy -2171.1 meV/atom. Number 2: uncorrected energy -6.990 eV per atom, calculated formation energy -2269.6 meV/atom. Number 3: uncorrected energy -6.660 eV per atom, calculated formation energy -2033.1 meV/atom. Number 4: uncorrected energy -6.660 eV per atom, calculated formation energy -2032.7 meV/atom. Number 5: uncorrected energy -6.652 eV per atom, calculated formation energy -2025.1 meV/atom. Number 6: uncorrected energy -7.587 eV per atom, calculated formation energy -2915.1 meV/atom. Number 7: uncorrected energy -7.662 eV per atom, calculated formation energy -3045.6 meV/atom. Number 8: uncorrected energy -6.424 eV per atom, calculated formation energy -2555.0 meV/atom. Number 9: uncorrected energy -6.277 eV per atom, calculated formation energy -2189.5 meV/atom. Number 10: uncorrected energy -6.729 eV per atom, calculated formation energy -2420.5 meV/atom. Number 11: uncorrected energy -5.725 eV per atom, calculated formation energy -1948.4 meV/atom. Number 12: uncorrected energy -6.830 eV per atom, calculated formation energy -1815.8 meV/atom.